# 1
Density functional theory data (PBE+U) for a relaxed structure of Na2ZrFeSi2O8F.

```
Na2ZrFeSi2O8F
1.0
9.963 0.000 0.000
0.000 7.200 0.000
0.000 3.343 10.295
Na O F Si Fe Zr
8 32 4 8 4 4
Cartesian
6.066 4.441 3.148 Na
8.765 6.122 4.414 Na
8.879 6.112 8.296 Na
3.897 6.102 7.146 Na
6.180 7.793 9.562 Na
3.783 2.750 0.733 Na
1.084 4.431 1.999 Na
1.198 4.421 5.880 Na
7.364 6.473 2.540 O
4.881 6.561 3.940 O
0.100 8.233 9.087 O
9.751 2.306 6.304 O
6.752 6.057 6.375 O
7.671 9.881 10.117 O
4.770 9.908 9.138 O
2.689 2.334 5.325 O
2.451 6.622 5.179 O
7.303 3.943 7.840 O
7.274 8.209 4.969 O
9.862 2.311 1.208 O
2.383 2.398 2.608 O
7.641 2.272 2.693 O
2.660 6.600 2.454 O
5.137 8.137 6.709 O
8.193 4.385 1.228 O
4.826 2.406 3.586 O
7.512 3.921 5.116 O
9.807 6.466 1.562 O
2.531 4.951 0.032 O
0.212 8.237 3.990 O
5.082 3.982 6.355 O
2.599 4.070 7.755 O
3.211 4.487 3.919 O
0.156 4.077 8.733 O
7.580 8.145 7.687 O
1.770 6.158 9.067 O
5.193 0.635 1.157 O
7.432 5.592 10.263 O
2.321 8.271 7.601 O
2.292 0.662 0.178 O
4.909 4.880 1.170 F
0.072 6.551 6.318 F
9.891 3.992 3.977 F
5.054 5.664 9.124 F
8.296 2.750 1.247 Si
3.314 6.122 3.900 Si
1.690 4.526 9.028 Si
3.291 2.854 3.880 Si
1.667 7.793 9.047 Si
6.672 7.689 6.414 Si
6.649 4.421 6.394 Si
8.273 6.017 1.267 Si
6.232 4.122 9.710 Fe
8.712 2.451 4.563 Fe
1.250 8.092 5.732 Fe
3.731 6.421 0.584 Fe
1.042 0.868 2.109 Zr
6.023 8.004 3.038 Zr
3.940 2.539 7.256 Zr
8.921 9.675 8.186 Zr
```

energy	-7.223	eV per atom

---

# 2
Density functional theory data (PBE+U) for a relaxed structure of LiLa4CoO8.

```
LiLa4CoO8
1.0
3.778 -3.780 -0.002
0.010 0.000 -25.909
3.778 3.780 -0.001
O La Co Li
32 16 4 4
Cartesian
3.776 -0.002 -2.329 O
1.897 0.039 -19.432 O
1.853 0.000 -12.955 O
3.782 0.000 -10.614 O
3.744 1.889 -19.433 O
3.790 1.850 -25.910 O
1.896 1.888 -17.101 O
3.783 1.930 -12.957 O
1.890 -0.039 -6.478 O
1.898 -1.890 -21.774 O
1.896 -1.890 -17.091 O
3.783 -1.930 -12.955 O
1.938 -0.002 -25.909 O
5.669 1.887 -4.152 O
3.786 -1.851 -25.910 O
3.779 3.780 -2.343 O
0.010 0.000 -23.568 O
5.670 -1.890 -8.821 O
3.782 -3.778 -10.624 O
1.891 -1.887 -8.807 O
5.673 -0.040 -19.435 O
3.783 3.778 -15.289 O
3.821 1.890 -6.479 O
5.637 0.001 -25.911 O
5.712 0.000 -12.957 O
3.826 -1.890 -19.434 O
3.739 -1.891 -6.479 O
1.891 1.890 -4.135 O
3.784 0.000 -15.298 O
3.789 0.002 -23.583 O
5.670 0.039 -6.480 O
5.674 -1.888 -21.766 O
1.893 -1.888 -14.752 La
5.673 1.887 -11.183 La
5.675 -1.886 -14.731 La
3.785 3.777 -21.230 La
1.895 -1.884 -1.774 La
3.774 -3.775 -4.681 La
3.781 0.004 -17.636 La
5.670 1.884 -24.114 La
1.898 1.888 -24.139 La
3.780 -0.002 -8.275 La
3.786 -3.777 -17.660 La
3.786 3.774 -8.253 La
5.668 -1.889 -1.797 La
1.891 1.887 -11.158 La
3.789 -0.005 -21.207 La
3.780 0.003 -4.707 La
5.674 -1.890 -19.434 Co
1.891 -1.890 -6.478 Co
7.560 0.000 -12.958 Co
3.788 0.000 -25.910 Co
3.788 3.780 -25.908 Li
5.674 1.890 -19.433 Li
5.669 -1.890 -6.480 Li
3.783 0.000 -12.957 Li
```

energy	-7.605	eV per atom
relative energy among the computed polymorphs	0	meV per atom

---

# 3
Density functional theory data (PBE+U) for a relaxed structure of Ba2CoCu2S2O2.

```
Ba2CoCu2S2O2
1.0
-1.119 -1.610 10.092
-2.569 3.795 9.203
-0.843 -1.883 -10.072
O Cu Ba S Co
2 2 2 2 1
Cartesian
-0.981 -1.746 0.010 O
-1.706 0.956 -0.434 O
-1.903 -1.200 4.834 Cu
-2.628 1.502 4.389 Cu
-1.486 0.880 7.773 Ba
-2.203 1.305 11.522 Ba
-3.020 1.789 15.799 S
-0.668 0.396 3.496 S
0.000 0.000 0.000 Co
```

energy	-5.189	eV per atom

---

# 4
Density functional theory data (PBE+U) for a relaxed structure of Tm2Mo4O15.

```
Tm2Mo4O15
1.0
9.648 0.000 0.000
0.000 6.863 0.000
0.000 2.769 10.268
O Tm Mo
30 4 8
Cartesian
0.263 2.299 7.255 O
9.385 7.333 3.013 O
2.698 3.146 8.747 O
0.535 4.879 8.376 O
1.295 7.546 9.045 O
1.212 4.356 4.065 O
7.522 7.872 6.655 O
5.359 6.138 7.027 O
0.000 0.000 0.000 O
3.529 6.162 3.911 O
1.445 6.563 5.980 O
4.561 0.915 2.121 O
9.113 4.753 1.893 O
2.126 1.761 3.613 O
3.225 4.297 6.184 O
5.087 8.718 8.147 O
8.353 2.086 1.223 O
6.950 6.487 1.521 O
1.599 2.912 1.050 O
4.824 1.385 5.134 O
8.436 5.276 6.203 O
3.612 5.741 9.199 O
6.269 4.454 9.423 O
8.204 3.069 4.289 O
4.289 3.495 3.241 O
6.423 5.336 4.084 O
8.049 6.720 9.218 O
3.380 5.179 0.845 O
6.119 3.471 6.357 O
6.036 3.892 1.069 O
4.602 4.137 7.966 Tm
0.222 2.752 2.832 Tm
5.046 5.496 2.303 Tm
9.426 6.881 7.437 Tm
3.898 1.784 3.524 Mo
8.722 6.464 1.610 Mo
7.168 2.904 0.111 Mo
2.344 5.344 5.023 Mo
7.304 4.288 5.245 Mo
5.750 7.848 6.744 Mo
2.480 6.729 10.157 Mo
0.926 3.169 8.658 Mo
```

energy	-7.454	eV per atom

---

no.,energy of formation (eV per formula unit)
1,-44.55
2,-45.26
3,-13.40
4,-53.09